Record 1
Compound: EuSiAg
Source: the Materials Project database
Functional: PBE-GGA
Structure: optimized geometry

## Properties
calculated volume = 24.1 Å³ per atom
electronic total energy = -6.544 eV/atom
total magnetic moment = 2.27 μB per atom

Unit cell a=4.399 b=4.396 c=4.323 alpha=90.00 beta=90.00 gamma=59.78
Atoms (fractional coordinates):
Eu1 0.000 0.000 0.000
Si1 0.333 0.334 0.500
Ag1 0.666 0.666 0.500

=====

Record 2
Compound: Er2InCu2
Source: the Materials Project database
Functional: PBE-GGA
Structure: optimized geometry

## Properties
calculated volume = 20.8 Å³ per atom
electronic total energy = -4.409 eV/atom

Unit cell a=7.610 b=7.610 c=3.590 alpha=90.00 beta=90.00 gamma=90.00
Atoms (fractional coordinates):
Er1 0.674 0.174 0.500
Er2 0.326 0.826 0.500
Er3 0.174 0.326 0.500
Er4 0.826 0.674 0.500
In1 0.500 0.500 0.000
In2 0.000 0.000 0.000
Cu1 0.118 0.618 0.000
Cu2 0.882 0.382 0.000
Cu3 0.618 0.882 0.000
Cu4 0.382 0.118 0.000

=====

Record 3
Compound: Al
Source: the Materials Project database
Functional: PBE-GGA
Structure: optimized geometry

## Properties
excess energy over the best structure of this formula in the dataset = 32.1 meV/atom
calculated volume = 16.7 Å³ per atom
electronic total energy = -3.713 eV/atom
total magnetic moment = 0.00 μB per atom

Unit cell a=2.812 b=2.812 c=4.867 alpha=90.00 beta=90.00 gamma=120.00
Atoms (fractional coordinates):
Al1 0.000 0.000 0.000
Al2 0.667 0.333 0.500

=====

Record 4
Compound: PrMnGa
Source: the Materials Project database
Functional: PBE-GGA
Structure: optimized geometry

## Properties
calculated volume = 21.6 Å³ per atom
electronic total energy = -5.722 eV/atom
total magnetic moment = 0.45 μB per atom

Unit cell a=6.089 b=6.089 c=6.089 alpha=138.92 beta=115.90 gamma=79.01
Atoms (fractional coordinates):
Pr1 0.000 0.500 0.500
Pr2 0.500 0.000 0.500
Mn1 0.000 0.500 0.000
Mn2 0.000 0.000 0.500
Ga1 0.368 0.250 0.118
Ga2 0.632 0.750 0.882

=====

Record 5
Compound: Rb2CuCl3
Source: the Materials Project database
Functional: PBE-GGA
Structure: optimized geometry

## Properties
calculated volume = 29.6 Å³ per atom
electronic total energy = -3.369 eV/atom

Unit cell a=4.266 b=12.689 c=13.124 alpha=90.00 beta=90.00 gamma=90.00
Atoms (fractional coordinates):
Rb1 0.750 0.328 0.025
Rb2 0.250 0.172 0.525
Rb3 0.750 0.828 0.475
Rb4 0.250 0.513 0.327
Rb5 0.750 0.987 0.827
Rb6 0.250 0.672 0.975
Rb7 0.750 0.487 0.673
Rb8 0.250 0.013 0.173
Cu1 0.750 0.243 0.310
Cu2 0.250 0.757 0.690
Cu3 0.750 0.743 0.190
Cu4 0.250 0.257 0.810
Cl1 0.250 0.934 0.641
Cl2 0.750 0.360 0.447
Cl3 0.250 0.640 0.553
Cl4 0.250 0.773 0.278
Cl5 0.250 0.434 0.859
Cl6 0.750 0.860 0.053
Cl7 0.750 0.066 0.359
Cl8 0.250 0.273 0.222
Cl9 0.750 0.727 0.778
Cl10 0.750 0.227 0.722
Cl11 0.250 0.140 0.947
Cl12 0.750 0.566 0.141

=====

Record 6
Compound: Pu2Br2O
Source: the Materials Project database
Functional: PBE-GGA
Structure: optimized geometry

## Properties
calculated volume = 36.7 Å³ per atom
electronic total energy = -8.376 eV/atom
total magnetic moment = 2.24 μB per atom

Unit cell a=3.745 b=3.745 c=13.091 alpha=90.00 beta=90.00 gamma=90.00
Atoms (fractional coordinates):
Pu1 0.500 0.500 0.156
Pu2 0.500 0.500 0.844
Br1 0.500 0.500 0.642
Br2 0.500 0.500 0.358
O1 0.500 0.500 0.000

=====

Record 7
Compound: NpGe2Rh2
Source: the Materials Project database
Functional: PBE-GGA
Structure: optimized geometry

## Properties
calculated volume = 18.0 Å³ per atom
electronic total energy = -7.928 eV/atom

Unit cell a=6.037 b=6.037 c=6.037 alpha=140.08 beta=140.08 gamma=57.73
Atoms (fractional coordinates):
Np1 0.000 0.000 0.000
Ge1 0.621 0.621 0.000
Ge2 0.379 0.379 0.000
Rh1 0.250 0.750 0.500
Rh2 0.750 0.250 0.500

=====

Record 8
Compound: BaSi6N8O
Source: the Materials Project database
Functional: PBE-GGA
Structure: optimized geometry

## Properties
calculated volume = 12.2 Å³ per atom
piezoelectric modulus e_max = 1.5 C/m²
electronic total energy = -7.966 eV/atom
total magnetic moment = 0.00 μB per atom

Unit cell a=6.829 b=6.829 c=6.829 alpha=138.21 beta=106.50 gamma=88.30
Atoms (fractional coordinates):
Ba1 0.500 0.497 0.997
Si1 0.355 0.180 0.218
Si2 0.161 0.686 0.525
Si3 0.962 0.180 0.825
Si4 0.839 0.364 0.525
Si5 0.038 0.862 0.218
Si6 0.645 0.862 0.825
N1 0.274 0.052 0.326
N2 0.046 0.903 0.506
N3 0.726 0.052 0.778
N4 0.813 0.988 0.175
N5 0.397 0.903 0.857
N6 0.187 0.362 0.175
N7 0.603 0.460 0.506
N8 0.954 0.460 0.857
O1 0.000 0.612 0.612

=====

Record 9
Compound: MgAg2
Source: the Materials Project database
Functional: PBE-GGA
Structure: optimized geometry

## Properties
excess energy over the best structure of this formula in the dataset = 0.0 meV/atom
calculated volume = 18.3 Å³ per atom
electronic total energy = -2.602 eV/atom

Unit cell a=5.145 b=5.145 c=4.884 alpha=90.00 beta=90.00 gamma=121.62
Atoms (fractional coordinates):
Mg1 0.803 0.803 0.750
Mg2 0.197 0.197 0.250
Ag1 0.521 0.852 0.250
Ag2 0.148 0.479 0.750
Ag3 0.479 0.148 0.750
Ag4 0.852 0.521 0.250

=====

Record 10
Compound: MoW3Se2S6
Source: the Materials Project database
Functional: PBE-GGA
Structure: optimized geometry

## Properties
excess energy over the best structure of this formula in the dataset = 0.4 meV/atom
calculated volume = 27.2 Å³ per atom
electronic total energy = -7.565 eV/atom
total magnetic moment = 0.00 μB per atom

Unit cell a=3.220 b=3.220 c=36.407 alpha=90.00 beta=90.00 gamma=120.00
Atoms (fractional coordinates):
Mo1 0.667 0.333 0.282
W1 0.333 0.667 0.094
W2 0.333 0.667 0.470
W3 0.667 0.333 0.658
Se1 0.333 0.667 0.329
Se2 0.333 0.667 0.235
S1 0.333 0.667 0.700
S2 0.667 0.333 0.051
S3 0.667 0.333 0.427
S4 0.667 0.333 0.137
S5 0.667 0.333 0.513
S6 0.333 0.667 0.615

=====

Record 11
Compound: Li2MgGeO4
Source: the Materials Project database
Functional: PBE-GGA
Structure: optimized geometry

## Properties
calculated volume = 11.2 Å³ per atom
piezoelectric modulus e_max = 1.5 C/m²
electronic total energy = -5.914 eV/atom

Unit cell a=5.092 b=5.552 c=6.355 alpha=90.00 beta=90.00 gamma=90.00
Atoms (fractional coordinates):
Li1 0.502 0.833 0.251
Li2 0.002 0.167 0.249
Li3 0.002 0.167 0.751
Li4 0.502 0.833 0.749
Mg1 0.501 0.336 0.000
Mg2 0.001 0.664 0.500
Ge1 0.007 0.674 0.000
Ge2 0.507 0.326 0.500
O1 0.892 0.369 0.000
O2 0.392 0.631 0.500
O3 0.896 0.824 0.232
O4 0.396 0.176 0.268
O5 0.396 0.176 0.732
O6 0.896 0.824 0.768
O7 0.357 0.670 0.000
O8 0.857 0.330 0.500

=====

Record 12
Compound: FeCoSn
Source: the Materials Project database
Functional: PBE-GGA
Structure: optimized geometry

## Properties
calculated volume = 14.0 Å³ per atom
electronic total energy = -6.246 eV/atom
total magnetic moment = 1.19 μB per atom

Unit cell a=2.961 b=4.054 c=4.054 alpha=60.02 beta=90.00 gamma=90.00
Atoms (fractional coordinates):
Fe1 0.500 0.667 0.667
Co1 0.500 0.333 0.333
Sn1 0.000 0.000 0.000

=====

Record 13
Compound: MgSn8P4O18
Source: the Materials Project database
Functional: PBE-GGA
Structure: optimized geometry

## Properties
excess energy over the best structure of this formula in the dataset = 0.0 meV/atom
calculated volume = 17.9 Å³ per atom
electronic total energy = -6.397 eV/atom
total magnetic moment = 0.00 μB per atom

Unit cell a=11.437 b=8.018 c=7.370 alpha=70.13 beta=63.37 gamma=91.45
Atoms (fractional coordinates):
Mg1 0.000 0.500 0.000
Sn1 0.113 0.192 0.319
Sn2 0.031 0.178 0.794
Sn3 0.306 0.523 0.599
Sn4 0.376 0.047 0.856
Sn5 0.624 0.953 0.144
Sn6 0.694 0.477 0.401
Sn7 0.969 0.822 0.206
Sn8 0.887 0.808 0.681
P1 0.285 0.924 0.534
P2 0.240 0.598 0.154
P3 0.760 0.402 0.846
P4 0.715 0.076 0.466
O1 0.104 0.617 0.149
O2 0.193 0.730 0.688
O3 0.247 0.021 0.353
O4 0.217 0.579 0.383
O5 0.355 0.761 0.967
O6 0.269 0.041 0.672
O7 0.430 0.895 0.425
O8 0.276 0.423 0.114
O9 0.124 0.348 0.873
O10 0.876 0.652 0.127
O11 0.724 0.577 0.886
O12 0.570 0.105 0.575
O13 0.731 0.959 0.328
O14 0.645 0.239 0.033
O15 0.783 0.421 0.617
O16 0.753 0.979 0.647
O17 0.807 0.270 0.312
O18 0.896 0.383 0.851

=====

Record 14
Compound: Dy2B4C
Source: the Materials Project database
Functional: PBE-GGA
Structure: optimized geometry

## Properties
calculated volume = 11.6 Å³ per atom
electronic total energy = -7.017 eV/atom

Unit cell a=5.263 b=5.263 c=5.263 alpha=143.69 beta=102.86 gamma=88.37
Atoms (fractional coordinates):
Dy1 0.234 0.234 0.000
Dy2 0.766 0.766 0.000
B1 0.365 0.000 0.365
B2 0.773 0.500 0.273
B3 0.635 0.000 0.635
B4 0.227 0.500 0.727
C1 0.000 0.500 0.500

=====

Record 15
Compound: PrHfO3
Source: the Materials Project database
Functional: PBE-GGA
Structure: optimized geometry

## Properties
calculated volume = 13.8 Å³ per atom
electronic total energy = -9.045 eV/atom
total magnetic moment = 0.02 μB per atom

Unit cell a=5.759 b=5.889 c=8.157 alpha=90.00 beta=90.00 gamma=90.00
Atoms (fractional coordinates):
Pr1 0.504 0.061 0.250
Pr2 0.004 0.439 0.750
Pr3 0.996 0.561 0.250
Pr4 0.496 0.939 0.750
Hf1 0.000 0.000 0.000
Hf2 0.000 0.000 0.500
Hf3 0.500 0.500 0.000
Hf4 0.500 0.500 0.500
O1 0.084 0.031 0.750
O2 0.689 0.195 0.543
O3 0.689 0.195 0.957
O4 0.189 0.305 0.043
O5 0.189 0.305 0.457
O6 0.584 0.469 0.250
O7 0.416 0.531 0.750
O8 0.811 0.695 0.543
O9 0.811 0.695 0.957
O10 0.311 0.805 0.043
O11 0.311 0.805 0.457
O12 0.916 0.969 0.250

=====

Record 16
Compound: Ti7P4
Source: the Materials Project database
Functional: PBE-GGA
Structure: optimized geometry

## Properties
calculated volume = 15.0 Å³ per atom
electronic total energy = -8.124 eV/atom

Unit cell a=7.534 b=7.534 c=13.626 alpha=75.66 beta=75.66 gamma=26.15
Atoms (fractional coordinates):
Ti1 0.000 0.000 0.000
Ti2 0.500 0.500 0.500
Ti3 0.431 0.431 0.172
Ti4 0.569 0.569 0.828
Ti5 0.196 0.196 0.692
Ti6 0.804 0.804 0.308
Ti7 0.206 0.206 0.206
Ti8 0.794 0.794 0.794
Ti9 0.340 0.340 0.970
Ti10 0.660 0.660 0.030
Ti11 0.004 0.004 0.337
Ti12 0.996 0.996 0.663
Ti13 0.178 0.178 0.458
Ti14 0.822 0.822 0.542
P1 0.176 0.176 0.889
P2 0.824 0.824 0.111
P3 0.373 0.373 0.396
P4 0.627 0.627 0.604
P5 0.370 0.370 0.658
P6 0.630 0.630 0.342
P7 0.063 0.063 0.150
P8 0.937 0.937 0.850

=====

Record 17
Compound: Ca2Al4Si4H18O25
Source: the Materials Project database
Functional: PBE-GGA
Structure: optimized geometry

## Properties
excess energy over the best structure of this formula in the dataset = 35.6 meV/atom
calculated volume = 11.5 Å³ per atom
electronic total energy = -5.892 eV/atom
total magnetic moment = 0.04 μB per atom

Unit cell a=10.348 b=10.508 c=11.204 alpha=88.16 beta=89.70 gamma=88.94
Atoms (fractional coordinates):
Ca1 0.291 0.602 0.140
Ca2 0.685 0.034 0.351
Ca3 0.304 0.914 0.695
Ca4 0.110 0.597 0.603
Al1 0.596 0.883 0.111
Al2 0.137 0.088 0.150
Al3 0.904 0.606 0.294
Al4 0.394 0.375 0.341
Al5 0.581 0.663 0.658
Al6 0.153 0.355 0.736
Al7 0.847 0.018 0.731
Al8 0.301 0.186 0.914
Si1 0.900 0.897 0.217
Si2 0.461 0.148 0.147
Si3 0.569 0.640 0.282
Si4 0.086 0.355 0.289
Si5 0.826 0.635 0.661
Si6 0.423 0.429 0.617
Si7 0.579 0.896 0.813
Si8 0.074 0.097 0.856
H1 0.052 0.670 0.010
H2 0.604 0.280 0.025
H3 0.026 0.238 0.008
H4 0.716 0.517 0.200
H5 0.951 0.389 0.088
H6 0.542 0.507 0.058
H7 0.751 0.230 0.207
H8 0.322 0.942 0.343
H9 0.142 0.861 0.467
H10 0.270 0.611 0.371
H11 0.252 0.096 0.325
H12 0.964 0.731 0.442
H13 0.503 0.792 0.407
H14 0.851 0.245 0.450
H15 0.040 0.888 0.572
H16 0.543 0.179 0.523
H17 0.043 0.331 0.543
H18 0.735 0.828 0.637
H19 0.726 0.393 0.570
H20 0.911 0.010 0.523
H21 0.023 0.183 0.392
H22 0.529 0.059 0.687
H23 0.691 0.195 0.739
H24 0.768 0.188 0.560
H25 0.981 0.484 0.800
H26 0.458 0.052 0.513
H27 0.928 0.725 0.821
H28 0.293 0.761 0.376
H29 0.606 0.455 0.910
H30 0.890 0.749 0.040
H31 0.109 0.553 0.943
H32 0.255 0.866 0.978
H33 0.469 0.336 0.790
H34 0.936 0.859 0.950
H35 0.469 0.691 0.965
H36 0.954 0.395 0.948
O1 0.923 0.766 0.959
O2 0.936 0.338 0.017
O3 0.418 0.513 0.002
O4 0.324 0.131 0.069
O5 0.643 0.489 0.072
O6 0.754 0.915 0.156
O7 0.931 0.741 0.206
O8 0.013 0.974 0.143
O9 0.535 0.731 0.166
O10 0.225 0.024 0.280
O11 0.515 0.006 0.193
O12 0.469 0.521 0.287
O13 0.723 0.572 0.273
O14 0.440 0.240 0.260
O15 0.979 0.464 0.250
O16 0.102 0.244 0.196
O17 0.227 0.422 0.311
O18 0.371 0.894 0.415
O19 0.476 0.572 0.583
O20 0.880 0.944 0.354
O21 0.954 0.639 0.443
O22 0.119 0.828 0.547
O23 0.776 0.192 0.469
O24 0.076 0.395 0.595
O25 0.341 0.984 0.510
O26 0.417 0.349 0.495
O27 0.552 0.087 0.525
O28 0.769 0.163 0.701
O29 0.706 0.575 0.737
O30 0.576 0.194 0.054
O31 0.942 0.708 0.732
O32 0.073 0.483 0.818
O33 0.503 0.786 0.737
O34 0.285 0.456 0.685
O35 0.729 0.749 0.587
O36 0.494 0.026 0.765
O37 0.726 0.904 0.762
O38 0.517 0.349 0.715
O39 0.959 0.997 0.849
O40 0.058 0.217 0.765
O41 0.021 0.273 0.408
O42 0.223 0.037 0.843
O43 0.576 0.730 0.399
O44 0.939 0.979 0.603
O45 0.246 0.694 0.333
O46 0.389 0.644 0.953
O47 0.563 0.874 0.956
O48 0.669 0.415 0.966
O49 0.113 0.597 0.021
O50 0.091 0.158 0.992